1.
Computed, not measured: an optimized crystal structure of Pr3Cr10N11 at the PBE level of DFT.

Values from the calculation:
**Calculated total energy**: -219.56 eV/f.u.
**Theoretical density**: 6.84 g/cm³

Cell: 9.0984 9.0984 9.0984 Å, 60.00 60.00 60.00°
Last column: nearest neighbours and their distance in Å.
Sites, in units of the cell vectors:
Pr1 0.1984 0.1984 0.8016  9 N 2.55-2.77
Pr2 0.1984 0.8016 0.1984  9 N 2.55-2.77
Pr3 0.1984 0.8016 0.8016  9 N 2.55-2.77
Pr4 0.8016 0.1984 0.1984  9 N 2.55-2.77
Pr5 0.8016 0.1984 0.8016  9 N 2.55-2.77
Pr6 0.8016 0.8016 0.1984  9 N 2.55-2.77
Cr1 0.1016 0.1016 0.3984  4 N 1.92-1.96
Cr2 0.1016 0.3984 0.1016  4 N 1.92-1.96
Cr3 0.1016 0.3984 0.3984  4 N 1.92-1.96
Cr4 0.2127 0.5958 0.5958  3 N 1.86
Cr5 0.3984 0.1016 0.1016  4 N 1.92-1.96
Cr6 0.3984 0.1016 0.3984  4 N 1.92-1.96
Cr7 0.3984 0.3984 0.1016  4 N 1.92-1.96
Cr8 0.4042 0.4042 0.4042  3 N 1.86
Cr9 0.4042 0.4042 0.7873  3 N 1.86
Cr10 0.4042 0.7873 0.4042  3 N 1.86
Cr11 0.5958 0.2127 0.5958  3 N 1.86
Cr12 0.5958 0.5958 0.2127  3 N 1.86
Cr13 0.5958 0.5958 0.5958  3 N 1.86
Cr14 0.6016 0.6016 0.8984  4 N 1.92-1.96
Cr15 0.6016 0.8984 0.6016  4 N 1.92-1.96
Cr16 0.6016 0.8984 0.8984  4 N 1.92-1.96
Cr17 0.7873 0.4042 0.4042  3 N 1.86
Cr18 0.8984 0.6016 0.6016  4 N 1.92-1.96
Cr19 0.8984 0.6016 0.8984  4 N 1.92-1.96
Cr20 0.8984 0.8984 0.6016  4 N 1.92-1.96
N1 0.0000 0.0000 0.0000  6 Pr 2.55
N2 0.1471 0.1471 0.1471  3 Cr 1.96
N3 0.1471 0.1471 0.5586  3 Cr 1.96
N4 0.1471 0.5586 0.1471  3 Cr 1.96
N5 0.1552 0.5000 0.5000  4 Cr 1.86-1.92
N6 0.1552 0.5000 0.8448  4 Cr 1.86-1.92
N7 0.1552 0.8448 0.5000  4 Cr 1.86-1.92
N8 0.4414 0.8529 0.8529  3 Cr 1.96
N9 0.5000 0.1552 0.5000  4 Cr 1.86-1.92
N10 0.5000 0.1552 0.8448  4 Cr 1.86-1.92
N11 0.5000 0.5000 0.1552  4 Cr 1.86-1.92
N12 0.5000 0.5000 0.5000  8 Cr 2.13
N13 0.5000 0.5000 0.8448  4 Cr 1.86-1.92
N14 0.5000 0.8448 0.1552  4 Cr 1.86-1.92
N15 0.5000 0.8448 0.5000  4 Cr 1.86-1.92
N16 0.5586 0.1471 0.1471  3 Cr 1.96
N17 0.8448 0.1552 0.5000  4 Cr 1.86-1.92
N18 0.8448 0.5000 0.1552  4 Cr 1.86-1.92
N19 0.8448 0.5000 0.5000  4 Cr 1.86-1.92
N20 0.8529 0.4414 0.8529  3 Cr 1.96
N21 0.8529 0.8529 0.4414  3 Cr 1.96
N22 0.8529 0.8529 0.8529  3 Cr 1.96

---

2.
Computed, not measured: an optimized crystal structure of Cr3PtN at the PBE level of DFT.

Values from the calculation:
**Calculated total energy**: -44.97 eV/f.u.
**Theoretical density**: 10.70 g/cm³

Cell: 3.8404 3.8404 3.8404 Å, 90.00 90.00 90.00°
Last column: nearest neighbours and their distance in Å.
Sites, in units of the cell vectors:
Cr1 0.0000 0.0000 0.5000  2 N 1.92
Cr2 0.0000 0.5000 0.0000  2 N 1.92
Cr3 0.5000 0.0000 0.0000  2 N 1.92
Pt1 0.5000 0.5000 0.5000  12 Cr 2.72
N1 0.0000 0.0000 0.0000  6 Cr 1.92

---

3.
Computed, not measured: an optimized crystal structure of RbCrN2 at the PBE level of DFT.

Values from the calculation:
**Calculated total energy**: -29.18 eV/f.u.
**Theoretical density**: 4.05 g/cm³

Cell: 8.1548 5.7659 11.5318 Å, 90.00 90.00 90.00°
Last column: nearest neighbours and their distance in Å.
Sites, in units of the cell vectors:
Rb1 0.1250 0.2387 0.2500  12 N 3.33-3.43, 4 Cr 3.52-3.55, 4 Rb 3.53
Rb2 0.1250 0.2613 0.7500  12 N 3.33-3.43, 4 Cr 3.52-3.55, 4 Rb 3.53
Rb3 0.3748 0.2500 0.0000  12 N 3.33-3.43, 4 Cr 3.53, 4 Rb 3.53
Rb4 0.3748 0.2500 0.5000  12 N 3.33-3.43, 4 Cr 3.53, 4 Rb 3.53
Rb5 0.6252 0.7500 0.0000  12 N 3.33-3.43, 4 Cr 3.53, 4 Rb 3.53
Rb6 0.6252 0.7500 0.5000  12 N 3.33-3.43, 4 Cr 3.53, 4 Rb 3.53
Rb7 0.8750 0.7387 0.2500  12 N 3.33-3.43, 4 Cr 3.52-3.55, 4 Rb 3.53
Rb8 0.8750 0.7613 0.7500  12 N 3.33-3.43, 4 Cr 3.52-3.55, 4 Rb 3.53
Cr1 0.1251 0.7500 0.0000  4 N 1.77
Cr2 0.1251 0.7500 0.5000  4 N 1.77
Cr3 0.3751 0.7417 0.2500  4 N 1.77
Cr4 0.3751 0.7583 0.7500  4 N 1.77
Cr5 0.6249 0.2417 0.2500  4 N 1.77
Cr6 0.6249 0.2583 0.7500  4 N 1.77
Cr7 0.8749 0.2500 0.0000  4 N 1.77
Cr8 0.8749 0.2500 0.5000  4 N 1.77
N1 0.0000 0.0000 0.0000  2 Cr 1.77
N2 0.0000 0.0000 0.5000  2 Cr 1.77
N3 0.0000 0.5000 0.0000  2 Cr 1.77
N4 0.0000 0.5000 0.5000  2 Cr 1.77
N5 0.2502 0.7482 0.1250  2 Cr 1.77
N6 0.2502 0.7482 0.3750  2 Cr 1.77
N7 0.2502 0.7518 0.6250  2 Cr 1.77
N8 0.2502 0.7518 0.8750  2 Cr 1.77
N9 0.4939 0.0146 0.7500  2 Cr 1.77
N10 0.4939 0.4854 0.2500  2 Cr 1.77
N11 0.5061 0.5146 0.7500  2 Cr 1.77
N12 0.5061 0.9854 0.2500  2 Cr 1.77
N13 0.7498 0.2482 0.1250  2 Cr 1.77
N14 0.7498 0.2482 0.3750  2 Cr 1.77
N15 0.7498 0.2518 0.6250  2 Cr 1.77
N16 0.7498 0.2518 0.8750  2 Cr 1.77

---

- Look up the theoretical density of the third one.
  4.05 g/cm³

---

- The highest theoretical density belongs to which entry?
  Cr3PtN

---

- Number 2 is which compound?
  Cr3PtN